Below is a relaxed structure of Tm3InC, with properties calculated at the PBE level. Values from VASP.

Cell and atoms, written as Quantum ESPRESSO input:
```
&SYSTEM
  ibrav = 0, nat = 5, ntyp = 3
/
ATOMIC_SPECIES
Tm 168.93 Tm.upf
In 114.82 In.upf
C 12.01 C.upf
CELL_PARAMETERS angstrom
5.5066 0.0000 0.0000
0.0000 5.5066 0.0000
0.0000 0.0000 5.5066
ATOMIC_POSITIONS crystal
Tm 0.0000 0.0000 0.5000
Tm 0.0000 0.5000 0.0000
Tm 0.5000 0.0000 0.0000
In 0.0000 0.0000 0.0000
C 0.5000 0.5000 0.5000
```

Properties
ΔE_f in eV per atom: 1.62
Calculated volume in Å³/cell: 167
Uncorrected energy in eV per atom: -3.46
Crystal system: cubic